Gd3Al PBE relaxed; electronic total energy = -11.70 eV/atom; calculated formation energy = -210 meV per atom
1.0
-3.5762 -3.1988 0.2448
2.8656 -3.3498 -1.9102
1.4425 -1.2759 4.4014
Gd Al
3 1
Direct
0.0000 0.5000 0.5000
0.5000 0.0000 0.5000
0.5000 0.5000 0.0000
0.0000 0.0000 0.0000